A plane-wave DFT calculation with PBE was carried out for crystalline Si3Pt at its relaxed geometry.

Values from the calculation:
Raw total energy   -5.657 eV per atom
Volume   16.3 Å³/atom
Total moment   0.00 μB/f.u.

abc: 7.479 7.479 2.692
angles: 90.00 90.00 120.00
Element x y z (fractional)
Si: 0.168 0.337 0.250
Si: 0.168 0.832 0.250
Si: 0.337 0.168 0.750
Si: 0.663 0.832 0.250
Si: 0.832 0.168 0.750
Si: 0.832 0.663 0.750
Pt: 0.333 0.667 0.750
Pt: 0.667 0.333 0.250